Entry 1:
Density functional theory data (PBE with a Hubbard U) for crystalline Co5Se4Br2O12 at its relaxed geometry.

V (Å³/f.u.): 362.1
Space-group type: No. 2

Cell lengths 7.971, 9.468, 10.219 Å; angles 95.02, 106.79, 98.07 degrees
Sites, in units of the cell vectors:
Co: 0.000 0.000 0.000
Co: 0.164 0.289 0.593
Co: 0.248 0.776 0.900
Co: 0.252 0.724 0.600
Co: 0.336 0.211 0.907
Co: 0.500 0.500 0.500
Co: 0.664 0.789 0.093
Co: 0.748 0.276 0.400
Co: 0.752 0.224 0.100
Co: 0.836 0.711 0.407
Se: 0.007 0.021 0.326
Se: 0.091 0.480 0.315
Se: 0.410 0.020 0.185
Se: 0.493 0.479 0.173
Se: 0.507 0.521 0.827
Se: 0.590 0.980 0.815
Se: 0.909 0.520 0.685
Se: 0.993 0.979 0.674
Br: 0.046 0.735 0.068
Br: 0.455 0.765 0.432
Br: 0.545 0.235 0.568
Br: 0.954 0.265 0.932
O: 0.046 0.858 0.561
O: 0.050 0.908 0.829
O: 0.057 0.620 0.422
O: 0.115 0.629 0.728
O: 0.172 0.122 0.710
O: 0.231 0.399 0.441
O: 0.270 0.101 0.059
O: 0.328 0.378 0.789
O: 0.384 0.871 0.772
O: 0.443 0.880 0.078
O: 0.451 0.592 0.671
O: 0.453 0.642 0.940
O: 0.547 0.358 0.060
O: 0.549 0.408 0.329
O: 0.557 0.120 0.922
O: 0.616 0.129 0.228
O: 0.672 0.622 0.211
O: 0.730 0.899 0.941
O: 0.769 0.601 0.559
O: 0.828 0.878 0.290
O: 0.885 0.371 0.272
O: 0.943 0.380 0.578
O: 0.950 0.092 0.171
O: 0.954 0.142 0.439

Entry 2:
Density functional theory data (PBE with a Hubbard U) for crystalline Ba2LiY2Fe4O10 at its relaxed geometry.

V (Å³/f.u.): 278.6
Space-group type: No. 6

Cell lengths 8.122, 3.872, 8.867 Å; angles 90.00, 92.40, 90.00 degrees
Sites, in units of the cell vectors:
Ba: 0.000 0.000 0.000
Ba: 0.458 0.000 0.882
Li: 0.426 0.500 0.125
Y: 0.470 0.000 0.471
Y: 0.950 0.000 0.462
Fe: 0.185 0.500 0.678
Fe: 0.198 0.500 0.283
Fe: 0.703 0.500 0.246
Fe: 0.716 0.500 0.671
O: 0.164 0.000 0.724
O: 0.203 0.000 0.365
O: 0.219 0.500 0.041
O: 0.439 0.500 0.649
O: 0.468 0.500 0.328
O: 0.634 0.500 0.039
O: 0.695 0.000 0.673
O: 0.704 0.000 0.335
O: 0.940 0.500 0.258
O: 0.942 0.500 0.589

no.,spin magnetization (μB/atom),formation energy (kJ/mol of atoms)
1,0.000,-117.64
2,0.895,-232.71